[1]
Mg6ZnFeO8 | PBE with a Hubbard U | relaxed

Summary:
**Total magnetic moment**: 4.00 Bohr magnetons per cell
**Symmetry**: No. 123
**Energy of formation from the pure elements**: -2613 meV/atom

abc: 8.606 4.275 4.275
angles: 90.00 90.00 90.00
Sites, in units of the cell vectors:
Mg 0.500 0.000 0.000
Mg 0.500 0.500 0.500
Mg 0.251 0.000 0.500
Mg 0.749 0.000 0.500
Mg 0.251 0.500 0.000
Mg 0.749 0.500 0.000
Zn 0.000 0.000 0.000
Fe 0.000 0.500 0.500
O 0.252 0.000 0.000
O 0.748 0.000 0.000
O 0.256 0.500 0.500
O 0.744 0.500 0.500
O 0.000 0.000 0.500
O 0.500 0.000 0.500
O 0.000 0.500 0.000
O 0.500 0.500 0.000

---

[2]
MgZn2Fe4O8 | PBE with a Hubbard U | relaxed

Summary:
**Total magnetic moment**: 18.00 Bohr magnetons per cell
**Symmetry**: No. 8
**Energy of formation from the pure elements**: -1669 meV/atom

abc: 6.064 6.295 6.295
angles: 59.28 61.23 61.23
Sites, in units of the cell vectors:
Mg 0.037 0.472 0.472
Zn 0.974 0.030 0.030
Zn 0.099 0.685 0.685
Fe 0.317 0.177 0.177
Fe 0.626 0.132 0.613
Fe 0.626 0.613 0.132
Fe 0.551 0.668 0.668
O 0.421 0.345 0.345
O 0.399 0.380 0.808
O 0.399 0.808 0.380
O 0.881 0.354 0.354
O 0.385 0.890 0.890
O 0.862 0.422 0.858
O 0.862 0.858 0.422
O 0.831 0.896 0.896